Entry 1:
# Mg6TiAl

A relaxed Mg6TiAl crystal (GGA-PBE, the Materials Project).

Cell: 4.992 6.060 10.952 Å, 90.00 90.00 90.00°
Sites, in units of the cell vectors:
Mg (0.500, 0.251, 0.419)
Mg (0.500, 0.749, 0.419)
Mg (0.000, 0.746, 0.085)
Mg (0.000, 0.254, 0.085)
Mg (0.000, 0.000, 0.329)
Mg (0.000, 0.500, 0.327)
Mg (0.500, 0.751, 0.919)
Mg (0.500, 0.249, 0.919)
Mg (0.000, 0.246, 0.585)
Mg (0.000, 0.754, 0.585)
Mg (0.000, 0.500, 0.829)
Mg (0.000, 0.000, 0.827)
Ti (0.500, 0.500, 0.171)
Ti (0.500, 0.000, 0.671)
Al (0.500, 0.000, 0.167)
Al (0.500, 0.500, 0.667)

Calculated values
The calculation puts the energy relative to the elements at 0.067 eV/atom.

=====

Entry 2:
# Mg16TiAl12

A relaxed Mg16TiAl12 crystal (GGA-PBE, the Materials Project).

Cell: 9.126 9.126 9.126 Å, 110.14 110.14 110.14°
Sites, in units of the cell vectors:
Mg (0.000, 0.000, 0.000)
Mg (0.275, 0.594, 0.594)
Mg (0.310, 0.310, 0.715)
Mg (0.310, 0.715, 0.310)
Mg (0.390, 0.682, 0.996)
Mg (0.390, 0.996, 0.682)
Mg (0.594, 0.275, 0.594)
Mg (0.594, 0.594, 0.275)
Mg (0.651, 0.991, 0.991)
Mg (0.682, 0.390, 0.996)
Mg (0.682, 0.996, 0.390)
Mg (0.715, 0.310, 0.310)
Mg (0.991, 0.651, 0.991)
Mg (0.991, 0.991, 0.651)
Mg (0.996, 0.390, 0.682)
Mg (0.996, 0.682, 0.390)
Ti (0.356, 0.356, 0.356)
Al (0.003, 0.184, 0.361)
Al (0.003, 0.361, 0.184)
Al (0.172, 0.804, 0.804)
Al (0.184, 0.003, 0.361)
Al (0.184, 0.361, 0.003)
Al (0.361, 0.003, 0.184)
Al (0.361, 0.184, 0.003)
Al (0.620, 0.620, 0.802)
Al (0.620, 0.802, 0.620)
Al (0.802, 0.620, 0.620)
Al (0.804, 0.172, 0.804)
Al (0.804, 0.804, 0.172)

Calculated values
The calculation puts the energy relative to the elements at -0.022 eV/atom.

=====

Entry 3:
# Mg3Ti2Al18

A relaxed Mg3Ti2Al18 crystal (GGA-PBE, the Materials Project).

Cell: 10.440 10.440 10.440 Å, 60.00 60.00 60.00°
Sites, in units of the cell vectors:
Mg (0.000, 0.000, 0.000)
Mg (0.000, 0.000, 0.500)
Mg (0.000, 0.500, 0.000)
Mg (0.125, 0.125, 0.125)
Mg (0.500, 0.000, 0.000)
Mg (0.875, 0.875, 0.875)
Ti (0.000, 0.500, 0.500)
Ti (0.500, 0.000, 0.500)
Ti (0.500, 0.500, 0.000)
Ti (0.500, 0.500, 0.500)
Al (0.057, 0.325, 0.325)
Al (0.057, 0.325, 0.793)
Al (0.057, 0.793, 0.325)
Al (0.207, 0.675, 0.675)
Al (0.207, 0.675, 0.943)
Al (0.207, 0.943, 0.675)
Al (0.236, 0.236, 0.514)
Al (0.236, 0.514, 0.236)
Al (0.236, 0.514, 0.514)
Al (0.325, 0.057, 0.325)
Al (0.325, 0.057, 0.793)
Al (0.325, 0.325, 0.057)
Al (0.325, 0.325, 0.793)
Al (0.325, 0.793, 0.057)
Al (0.325, 0.793, 0.325)
Al (0.486, 0.486, 0.764)
Al (0.486, 0.764, 0.486)
Al (0.486, 0.764, 0.764)
Al (0.514, 0.236, 0.236)
Al (0.514, 0.236, 0.514)
Al (0.514, 0.514, 0.236)
Al (0.675, 0.207, 0.675)
Al (0.675, 0.207, 0.943)
Al (0.675, 0.675, 0.207)
Al (0.675, 0.675, 0.943)
Al (0.675, 0.943, 0.207)
Al (0.675, 0.943, 0.675)
Al (0.764, 0.486, 0.486)
Al (0.764, 0.486, 0.764)
Al (0.764, 0.764, 0.486)
Al (0.793, 0.057, 0.325)
Al (0.793, 0.325, 0.057)
Al (0.793, 0.325, 0.325)
Al (0.943, 0.207, 0.675)
Al (0.943, 0.675, 0.207)
Al (0.943, 0.675, 0.675)

Calculated values
The calculation puts the energy relative to the elements at -0.161 eV/atom.

=====

Entry 4:
# Mg16TiAl12

A relaxed Mg16TiAl12 crystal (GGA-PBE, the Materials Project).

Cell: 9.062 9.062 9.062 Å, 109.47 109.47 109.47°
Sites, in units of the cell vectors:
Mg (0.000, 0.000, 0.657)
Mg (0.000, 0.398, 0.683)
Mg (0.000, 0.657, 0.000)
Mg (0.000, 0.683, 0.398)
Mg (0.285, 0.602, 0.602)
Mg (0.317, 0.317, 0.715)
Mg (0.317, 0.715, 0.317)
Mg (0.343, 0.343, 0.343)
Mg (0.398, 0.000, 0.683)
Mg (0.398, 0.683, 0.000)
Mg (0.602, 0.285, 0.602)
Mg (0.602, 0.602, 0.285)
Mg (0.657, 0.000, 0.000)
Mg (0.683, 0.000, 0.398)
Mg (0.683, 0.398, 0.000)
Mg (0.715, 0.317, 0.317)
Ti (0.000, 0.000, 0.000)
Al (0.000, 0.184, 0.364)
Al (0.000, 0.364, 0.184)
Al (0.179, 0.816, 0.816)
Al (0.184, 0.000, 0.364)
Al (0.184, 0.364, 0.000)
Al (0.364, 0.000, 0.184)
Al (0.364, 0.184, 0.000)
Al (0.636, 0.636, 0.821)
Al (0.636, 0.821, 0.636)
Al (0.816, 0.179, 0.816)
Al (0.816, 0.816, 0.179)
Al (0.821, 0.636, 0.636)

Calculated values
The calculation puts the energy relative to the elements at -0.023 eV/atom.

=====

Entry 5:
# Mg6TiAl

A relaxed Mg6TiAl crystal (GGA-PBE, the Materials Project).

Cell: 4.857 6.305 10.886 Å, 90.00 90.00 90.00°
Sites, in units of the cell vectors:
Mg (0.000, 0.256, 0.086)
Mg (0.000, 0.744, 0.086)
Mg (0.000, 0.500, 0.833)
Mg (0.500, 0.246, 0.917)
Mg (0.500, 0.754, 0.917)
Mg (0.500, 0.500, 0.666)
Mg (0.000, 0.756, 0.586)
Mg (0.000, 0.244, 0.586)
Mg (0.000, 0.000, 0.333)
Mg (0.500, 0.746, 0.417)
Mg (0.500, 0.254, 0.417)
Mg (0.500, 0.000, 0.166)
Ti (0.500, 0.500, 0.175)
Ti (0.500, 0.000, 0.675)
Al (0.000, 0.500, 0.320)
Al (0.000, 0.000, 0.820)

Calculated values
The calculation puts the energy relative to the elements at 0.065 eV/atom.

=====

Entry 6:
# Tm2MgAl

A relaxed Tm2MgAl crystal (GGA-PBE, the Materials Project).

Cell: 5.132 5.132 5.132 Å, 60.00 60.00 60.00°
Sites, in units of the cell vectors:
Tm (0.250, 0.250, 0.250)
Tm (0.750, 0.750, 0.750)
Mg (0.000, 0.000, 0.000)
Al (0.500, 0.500, 0.500)

Calculated values
The calculation puts the energy relative to the elements at -0.255 eV/atom.

=====

Entry 7:
# Mg16UAl12

A relaxed Mg16UAl12 crystal (GGA-PBE, the Materials Project).

Cell: 9.109 9.109 9.109 Å, 109.47 109.47 109.47°
Sites, in units of the cell vectors:
Mg (0.000, 0.000, 0.640)
Mg (0.000, 0.394, 0.678)
Mg (0.000, 0.640, 0.000)
Mg (0.000, 0.678, 0.394)
Mg (0.284, 0.606, 0.606)
Mg (0.322, 0.322, 0.716)
Mg (0.322, 0.716, 0.322)
Mg (0.360, 0.360, 0.360)
Mg (0.394, 0.000, 0.678)
Mg (0.394, 0.678, 0.000)
Mg (0.606, 0.284, 0.606)
Mg (0.606, 0.606, 0.284)
Mg (0.640, 0.000, 0.000)
Mg (0.678, 0.000, 0.394)
Mg (0.678, 0.394, 0.000)
Mg (0.716, 0.322, 0.322)
U (0.000, 0.000, 0.000)
Al (0.000, 0.184, 0.364)
Al (0.000, 0.364, 0.184)
Al (0.180, 0.816, 0.816)
Al (0.184, 0.000, 0.364)
Al (0.184, 0.364, 0.000)
Al (0.364, 0.000, 0.184)
Al (0.364, 0.184, 0.000)
Al (0.636, 0.636, 0.820)
Al (0.636, 0.820, 0.636)
Al (0.816, 0.180, 0.816)
Al (0.816, 0.816, 0.180)
Al (0.820, 0.636, 0.636)

Calculated values
The calculation puts the energy relative to the elements at -0.014 eV/atom.

=====

Entry 8:
# Mg16UAl12

A relaxed Mg16UAl12 crystal (GGA-PBE, the Materials Project).

Cell: 9.262 9.262 9.262 Å, 110.47 110.47 110.47°
Sites, in units of the cell vectors:
Mg (0.000, 0.000, 0.000)
Mg (0.004, 0.392, 0.693)
Mg (0.004, 0.693, 0.392)
Mg (0.276, 0.610, 0.610)
Mg (0.319, 0.319, 0.723)
Mg (0.319, 0.723, 0.319)
Mg (0.392, 0.004, 0.693)
Mg (0.392, 0.693, 0.004)
Mg (0.610, 0.276, 0.610)
Mg (0.610, 0.610, 0.276)
Mg (0.657, 0.998, 0.998)
Mg (0.693, 0.004, 0.392)
Mg (0.693, 0.392, 0.004)
Mg (0.723, 0.319, 0.319)
Mg (0.998, 0.657, 0.998)
Mg (0.998, 0.998, 0.657)
U (0.374, 0.374, 0.374)
Al (0.008, 0.189, 0.367)
Al (0.008, 0.367, 0.189)
Al (0.171, 0.810, 0.810)
Al (0.189, 0.008, 0.367)
Al (0.189, 0.367, 0.008)
Al (0.367, 0.008, 0.189)
Al (0.367, 0.189, 0.008)
Al (0.627, 0.627, 0.807)
Al (0.627, 0.807, 0.627)
Al (0.807, 0.627, 0.627)
Al (0.810, 0.171, 0.810)
Al (0.810, 0.810, 0.171)

Calculated values
The calculation puts the energy relative to the elements at 0.003 eV/atom.